Entry 1:
This record from Materials Project describes a relaxed Mn2As2O7 crystal. The functional is r2SCAN.

```
Mn2As2O7
1.0
3.244 1.431 -4.010
3.350 -0.838 4.089
-1.441 -9.176 -2.552
O As Mn
14 4 4
direct
0.939 0.597 0.144
0.061 0.403 0.356
0.403 0.403 0.617
0.403 0.403 0.117
0.000 0.000 0.000
0.403 0.061 0.356
0.597 0.939 0.144
0.000 0.000 0.500
0.597 0.597 0.383
0.939 0.597 0.644
0.597 0.939 0.644
0.403 0.061 0.856
0.597 0.597 0.883
0.061 0.403 0.856
0.232 0.232 0.951
0.232 0.232 0.451
0.768 0.768 0.549
0.768 0.768 0.049
0.314 0.686 0.750
0.686 0.314 0.750
0.686 0.314 0.250
0.314 0.686 0.250
```

Values from the calculation:
formation energy from the elements	-1.218	eV/atom
energy	-10.362	eV/atom
distance to the lowest polymorph of the same formula	459	meV per atom
M_tot	4.000	μB/cell



Entry 2:
This record from Materials Project describes a relaxed MnAsO4 crystal. The functional is r2SCAN.

```
MnAsO4
1.0
-0.874 3.150 3.512
-0.518 -5.293 4.032
8.783 0.479 1.756
O As Mn
16 4 4
direct
0.198 0.716 0.879
0.698 0.216 0.621
0.414 0.271 0.371
0.086 0.229 0.871
0.809 0.560 0.378
0.691 0.940 0.878
0.914 0.771 0.129
0.309 0.060 0.122
0.191 0.440 0.622
0.314 0.488 0.123
0.586 0.729 0.629
0.802 0.284 0.121
0.814 0.988 0.377
0.302 0.784 0.379
0.686 0.512 0.877
0.186 0.012 0.623
0.965 0.780 0.320
0.035 0.220 0.680
0.535 0.720 0.820
0.465 0.280 0.180
0.000 0.500 0.000
0.000 0.000 0.000
0.500 0.000 0.500
0.500 0.500 0.500
```

Values from the calculation:
formation energy from the elements	-1.673	eV/atom
energy	-10.553	eV/atom
M_tot	16.000	μB/cell
symmetry	P2_1/c, No. 14



Entry 3:
This record from Materials Project describes a relaxed MnAs2O6 crystal. The functional is r2SCAN.

```
MnAs2O6
1.0
-1.986 -4.192 1.282
-9.358 2.856 3.886
-5.847 0.978 -5.861
O Mn As
24 4 8
direct
0.452 0.359 0.821
0.745 0.141 0.745
0.702 0.859 0.071
0.798 0.141 0.429
0.495 0.641 0.863
0.755 0.859 0.755
0.995 0.641 0.995
0.298 0.141 0.929
0.952 0.359 0.321
0.255 0.859 0.255
0.755 0.859 0.387
0.547 0.641 0.179
0.505 0.359 0.505
0.255 0.859 0.887
0.245 0.141 0.245
0.202 0.859 0.571
0.005 0.359 0.005
0.005 0.359 0.637
0.995 0.641 0.363
0.505 0.359 0.137
0.245 0.141 0.613
0.745 0.141 0.113
0.047 0.641 0.679
0.495 0.641 0.495
0.250 0.500 0.250
0.000 0.000 0.000
0.750 0.500 0.750
0.500 0.000 0.500
0.375 0.250 0.708
0.625 0.750 0.292
0.375 0.250 0.042
0.125 0.750 0.458
0.625 0.750 0.958
0.125 0.750 0.792
0.875 0.250 0.208
0.875 0.250 0.542
```

Values from the calculation:
formation energy from the elements	-1.569	eV/atom
energy	-10.451	eV/atom
M_tot	20.000	μB/cell



Question: formation energy from the elements of number 1 (Mn2As2O7)?
Answer: -1.218 eV/atom



Please write out number 3 again, unchanged.
This record from Materials Project describes a relaxed MnAs2O6 crystal. The functional is r2SCAN.

```
MnAs2O6
1.0
-1.986 -4.192 1.282
-9.358 2.856 3.886
-5.847 0.978 -5.861
O Mn As
24 4 8
direct
0.452 0.359 0.821
0.745 0.141 0.745
0.702 0.859 0.071
0.798 0.141 0.429
0.495 0.641 0.863
0.755 0.859 0.755
0.995 0.641 0.995
0.298 0.141 0.929
0.952 0.359 0.321
0.255 0.859 0.255
0.755 0.859 0.387
0.547 0.641 0.179
0.505 0.359 0.505
0.255 0.859 0.887
0.245 0.141 0.245
0.202 0.859 0.571
0.005 0.359 0.005
0.005 0.359 0.637
0.995 0.641 0.363
0.505 0.359 0.137
0.245 0.141 0.613
0.745 0.141 0.113
0.047 0.641 0.679
0.495 0.641 0.495
0.250 0.500 0.250
0.000 0.000 0.000
0.750 0.500 0.750
0.500 0.000 0.500
0.375 0.250 0.708
0.625 0.750 0.292
0.375 0.250 0.042
0.125 0.750 0.458
0.625 0.750 0.958
0.125 0.750 0.792
0.875 0.250 0.208
0.875 0.250 0.542
```

Values from the calculation:
formation energy from the elements	-1.569	eV/atom
energy	-10.451	eV/atom
M_tot	20.000	μB/cell